# 1
The following is a PBE+U calculation of a geometry-optimized LiVPO5 structure, from the Materials Project database.

Unit cell a=5.114 b=5.969 c=8.013 alpha=68.24 beta=79.86 gamma=89.81
Space group P1 (No. 1)
Inequivalent atoms, fractional coordinates:
Li (0.000, 0.000, 0.000)
Li (0.109, 0.274, 0.449)
V (0.551, 0.919, 0.727)
V (0.552, 0.380, 0.720)
P (0.330, 0.496, 0.006)
P (0.773, 0.781, 0.443)
O (0.230, 0.312, 0.930)
O (0.231, 0.760, 0.911)
O (0.296, 0.414, 0.208)
O (0.382, 0.170, 0.618)
O (0.472, 0.728, 0.558)
O (0.630, 0.559, 0.887)
O (0.718, 0.055, 0.836)
O (0.814, 0.894, 0.241)
O (0.871, 0.949, 0.539)
O (0.874, 0.519, 0.523)

Summary:
DFT formation energy = -2572 meV/atom
Calculated volume = 111.6 Å³/f.u.



# 2
The following is a PBE+U calculation of a geometry-optimized Li9Co7O16 structure, from the Materials Project database.

Unit cell a=5.7634 b=5.7634 c=28.8004 alpha=90.00 beta=90.00 gamma=120.00
Space group R-3m (No. 166, hexagonal axes)
Inequivalent atoms, fractional coordinates:
Li (0.0000, 0.0000, 0.0000)
Li (0.0000, 0.0000, 0.2511)
Li (0.0071, 0.5036, 0.7491)
Co (0.0000, 0.0000, 0.5000)
Co (0.0000, 0.5000, 0.0000)
Co (0.0000, 0.5000, 0.5000)
O (0.0000, 0.0000, 0.1258)
O (0.0000, 0.0000, 0.3690)
O (0.0017, 0.5009, 0.8733)
O (0.0231, 0.5115, 0.3683)

Summary:
DFT formation energy = -1692 meV/atom
Calculated volume = 276.2 Å³/f.u.



# 3
The following is a PBE+U calculation of a geometry-optimized SrCa7Mn7CrO24 structure, from the Materials Project database.

Unit cell a=10.710 b=10.850 c=15.192 alpha=89.98 beta=89.99 gamma=89.98
Space group P1 (No. 1)
Inequivalent atoms, fractional coordinates:
Sr (0.000, 0.000, 0.000)
Sr (0.007, 0.963, 0.251)
Sr (0.250, 0.215, 0.251)
Sr (0.756, 0.749, 0.000)
Ca (0.000, 0.504, 0.001)
Ca (0.007, 0.462, 0.251)
Ca (0.007, 0.959, 0.750)
Ca (0.008, 0.459, 0.751)
Ca (0.248, 0.209, 0.751)
Ca (0.249, 0.709, 0.251)
Ca (0.249, 0.709, 0.751)
Ca (0.258, 0.254, 0.501)
Ca (0.258, 0.255, 0.000)
Ca (0.258, 0.754, 0.501)
Ca (0.259, 0.754, 0.001)
Ca (0.497, 0.004, 0.000)
Ca (0.498, 0.004, 0.501)
Ca (0.498, 0.504, 0.001)
Ca (0.498, 0.505, 0.500)
Ca (0.508, 0.459, 0.751)
Ca (0.508, 0.460, 0.251)
Ca (0.508, 0.959, 0.251)
Ca (0.508, 0.959, 0.751)
Ca (0.748, 0.708, 0.251)
Ca (0.749, 0.209, 0.751)
Ca (0.749, 0.212, 0.251)
Ca (0.749, 0.709, 0.751)
Ca (0.757, 0.254, 0.000)
Ca (0.757, 0.255, 0.501)
Ca (0.757, 0.754, 0.501)
Ca (0.999, 0.004, 0.502)
Ca (0.999, 0.505, 0.501)
Mn (0.003, 0.232, 0.626)
Mn (0.003, 0.233, 0.875)
Mn (0.003, 0.732, 0.626)
Mn (0.004, 0.730, 0.127)
Mn (0.004, 0.730, 0.874)
Mn (0.004, 0.731, 0.377)
Mn (0.253, 0.482, 0.626)
Mn (0.253, 0.483, 0.125)
Mn (0.253, 0.483, 0.376)
Mn (0.253, 0.982, 0.626)
Mn (0.254, 0.482, 0.876)
Mn (0.254, 0.981, 0.377)
Mn (0.255, 0.981, 0.125)
Mn (0.255, 0.982, 0.875)
Mn (0.502, 0.732, 0.127)
Mn (0.502, 0.732, 0.875)
Mn (0.503, 0.232, 0.626)
Mn (0.503, 0.232, 0.876)
Mn (0.503, 0.732, 0.376)
Mn (0.503, 0.732, 0.626)
Mn (0.504, 0.232, 0.125)
Mn (0.504, 0.232, 0.376)
Mn (0.752, 0.983, 0.874)
Mn (0.753, 0.481, 0.126)
Mn (0.753, 0.482, 0.376)
Mn (0.753, 0.482, 0.626)
Mn (0.753, 0.982, 0.626)
Mn (0.754, 0.481, 0.875)
Cr (0.002, 0.234, 0.378)
Cr (0.002, 0.235, 0.124)
Cr (0.750, 0.983, 0.126)
Cr (0.751, 0.982, 0.377)
O (0.041, 0.223, 0.501)
O (0.041, 0.228, 0.000)
O (0.041, 0.723, 0.000)
O (0.043, 0.722, 0.501)
O (0.106, 0.086, 0.646)
O (0.106, 0.586, 0.356)
O (0.106, 0.586, 0.646)
O (0.107, 0.586, 0.146)
O (0.107, 0.586, 0.855)
O (0.108, 0.087, 0.854)
O (0.109, 0.088, 0.362)
O (0.111, 0.090, 0.141)
O (0.145, 0.342, 0.143)
O (0.145, 0.342, 0.359)
O (0.150, 0.336, 0.646)
O (0.150, 0.336, 0.855)
O (0.150, 0.836, 0.646)
O (0.150, 0.836, 0.856)
O (0.151, 0.834, 0.144)
O (0.152, 0.834, 0.357)
O (0.214, 0.472, 0.000)
O (0.214, 0.472, 0.501)
O (0.214, 0.972, 0.501)
O (0.223, 0.971, 0.000)
O (0.292, 0.491, 0.251)
O (0.292, 0.986, 0.251)
O (0.293, 0.492, 0.751)
O (0.293, 0.992, 0.751)
O (0.356, 0.128, 0.606)
O (0.356, 0.628, 0.106)
O (0.356, 0.628, 0.396)
O (0.356, 0.628, 0.606)
O (0.356, 0.628, 0.895)
O (0.357, 0.128, 0.896)
O (0.358, 0.127, 0.398)
O (0.359, 0.127, 0.104)
O (0.400, 0.377, 0.106)
O (0.400, 0.377, 0.396)
O (0.400, 0.378, 0.605)
O (0.400, 0.378, 0.896)
O (0.400, 0.878, 0.606)
O (0.401, 0.878, 0.106)
O (0.401, 0.878, 0.396)
O (0.401, 0.878, 0.895)
O (0.464, 0.242, 0.751)
O (0.464, 0.741, 0.251)
O (0.464, 0.741, 0.751)
O (0.473, 0.242, 0.251)
O (0.534, 0.722, 0.001)
O (0.543, 0.222, 0.001)
O (0.543, 0.222, 0.501)
O (0.543, 0.722, 0.501)
O (0.606, 0.086, 0.646)
O (0.606, 0.086, 0.855)
O (0.606, 0.585, 0.356)
O (0.606, 0.586, 0.646)
O (0.607, 0.087, 0.146)
O (0.607, 0.087, 0.356)
O (0.607, 0.586, 0.146)
O (0.607, 0.586, 0.856)
O (0.647, 0.836, 0.147)
O (0.648, 0.837, 0.854)
O (0.650, 0.336, 0.646)
O (0.650, 0.336, 0.855)
O (0.650, 0.835, 0.356)
O (0.650, 0.836, 0.646)
O (0.651, 0.336, 0.145)
O (0.651, 0.336, 0.356)
O (0.714, 0.472, 0.501)
O (0.714, 0.473, 0.001)
O (0.714, 0.972, 0.501)
O (0.715, 0.977, 0.001)
O (0.782, 0.992, 0.251)
O (0.792, 0.490, 0.251)
O (0.792, 0.491, 0.750)
O (0.792, 0.992, 0.750)
O (0.855, 0.130, 0.894)
O (0.856, 0.128, 0.605)
O (0.856, 0.628, 0.397)
O (0.856, 0.628, 0.605)
O (0.857, 0.129, 0.108)
O (0.858, 0.127, 0.395)
O (0.860, 0.623, 0.109)
O (0.861, 0.623, 0.892)
O (0.895, 0.874, 0.110)
O (0.897, 0.875, 0.890)
O (0.898, 0.877, 0.397)
O (0.899, 0.379, 0.106)
O (0.899, 0.379, 0.396)
O (0.900, 0.378, 0.605)
O (0.900, 0.378, 0.896)
O (0.900, 0.878, 0.605)
O (0.964, 0.242, 0.751)
O (0.964, 0.735, 0.252)
O (0.965, 0.741, 0.750)
O (0.967, 0.241, 0.251)

Summary:
DFT formation energy = -2492 meV/atom
Calculated volume = 441.3 Å³/f.u.



# 4
The following is a PBE+U calculation of a geometry-optimized Nb2Co4O9 structure, from the Materials Project database.

Unit cell a=5.213 b=5.224 c=14.304 alpha=89.37 beta=89.76 gamma=60.08
Space group P1 (No. 1)
Inequivalent atoms, fractional coordinates:
Nb (0.000, 0.000, 0.000)
Nb (0.001, 0.993, 0.283)
Nb (0.005, 0.994, 0.783)
Nb (0.998, 0.005, 0.499)
Co (0.332, 0.332, 0.337)
Co (0.334, 0.329, 0.128)
Co (0.336, 0.332, 0.837)
Co (0.338, 0.332, 0.631)
Co (0.665, 0.662, 0.450)
Co (0.667, 0.665, 0.154)
Co (0.667, 0.668, 0.653)
Co (0.669, 0.663, 0.947)
O (0.002, 0.287, 0.891)
O (0.022, 0.655, 0.726)
O (0.024, 0.317, 0.225)
O (0.290, 0.996, 0.391)
O (0.291, 0.708, 0.892)
O (0.324, 0.653, 0.226)
O (0.326, 0.016, 0.725)
O (0.346, 0.676, 0.556)
O (0.347, 0.974, 0.057)
O (0.657, 0.320, 0.727)
O (0.658, 0.018, 0.225)
O (0.676, 0.982, 0.557)
O (0.679, 0.341, 0.057)
O (0.712, 0.997, 0.892)
O (0.713, 0.287, 0.391)
O (0.980, 0.342, 0.559)
O (0.981, 0.675, 0.058)
O (0.998, 0.706, 0.392)

Summary:
DFT formation energy = -2102 meV/atom
Calculated volume = 168.8 Å³/f.u.